VASP calculation (r2SCAN) on an optimized crystal structure of Tb2PdRu.

Lattice parameters (Å, degrees): 4.8707 4.8707 4.8707 60.00 60.00 60.00
Closest atoms and distances in Å follow each position.
Fractional positions:
Tb 0.2500 0.2500 0.2500  4 Ru 2.98, 4 Pd 2.98
Tb 0.7500 0.7500 0.7500  4 Ru 2.98, 4 Pd 2.98
Pd 0.0000 0.0000 0.0000  8 Tb 2.98
Ru 0.5000 0.5000 0.5000  8 Tb 2.98

Computed properties:
- energy of formation from the pure elements (meV/atom) = -657